Entry 1:
YLuO3: relaxed, PBE-GGA.

Cell lengths 3.6671, 3.6671, 12.7504 Å; angles 90.00, 90.00, 120.00 degrees
Sites, in units of the cell vectors:
Y 0.0000 0.0000 0.0000
Y 0.0000 0.0000 0.5000
Lu 0.3333 0.6667 0.2500
Lu 0.6667 0.3333 0.7500
O 0.3333 0.6667 0.0790
O 0.3333 0.6667 0.4210
O 0.0000 0.0000 0.2500
O 0.0000 0.0000 0.7500
O 0.6667 0.3333 0.9210
O 0.6667 0.3333 0.5790

Computed properties:
Formation energy in eV/atom: -3.974

Entry 2:
LuOs3: relaxed, PBE-GGA.

Cell lengths 5.7263, 5.7263, 4.5948 Å; angles 90.00, 90.00, 120.00 degrees
Sites, in units of the cell vectors:
Lu 0.3333 0.6667 0.7500
Lu 0.6667 0.3333 0.2500
Os 0.1627 0.3254 0.2500
Os 0.6746 0.8373 0.2500
Os 0.1627 0.8373 0.2500
Os 0.8373 0.6746 0.7500
Os 0.3254 0.1627 0.7500
Os 0.8373 0.1627 0.7500

Computed properties:
Formation energy in eV/atom: 0.260

Entry 3:
Lu3Os: relaxed, PBE-GGA.

Cell lengths 7.2896, 8.8481, 6.1608 Å; angles 90.00, 90.00, 90.00 degrees
Sites, in units of the cell vectors:
Lu 0.6756 0.0620 0.3331
Lu 0.1756 0.4380 0.1669
Lu 0.3244 0.5620 0.6669
Lu 0.8244 0.9380 0.8331
Lu 0.3244 0.9380 0.6669
Lu 0.8244 0.5620 0.8331
Lu 0.6756 0.4380 0.3331
Lu 0.1756 0.0620 0.1669
Lu 0.5393 0.2500 0.8711
Lu 0.0393 0.2500 0.6289
Lu 0.4607 0.7500 0.1289
Lu 0.9607 0.7500 0.3711
Os 0.8834 0.2500 0.0387
Os 0.3834 0.2500 0.4613
Os 0.1166 0.7500 0.9613
Os 0.6166 0.7500 0.5387

Computed properties:
Formation energy in eV/atom: -0.337

Entry 4:
LuSi2Os2: relaxed, PBE-GGA.

Cell lengths 5.5965, 5.5965, 5.5965 Å; angles 136.18, 136.18, 63.71 degrees
Sites, in units of the cell vectors:
Lu 0.0000 0.0000 0.0000
Si 0.6272 0.6272 0.0000
Si 0.3728 0.3728 0.0000
Os 0.7500 0.2500 0.5000
Os 0.2500 0.7500 0.5000

Computed properties:
Formation energy in eV/atom: -0.700

Entry 5:
LuP5: relaxed, PBE-GGA.

Cell lengths 9.3254, 4.9055, 5.2957 Å; angles 77.57, 90.00, 90.00 degrees
Sites, in units of the cell vectors:
Lu 0.2500 0.9982 0.3469
Lu 0.7500 0.0018 0.6531
P 0.2500 0.7308 0.8899
P 0.7500 0.2692 0.1101
P 0.4062 0.3830 0.9576
P 0.9062 0.6170 0.0424
P 0.5938 0.6170 0.0424
P 0.0938 0.3830 0.9576
P 0.4718 0.2821 0.5943
P 0.9718 0.7179 0.4057
P 0.5282 0.7179 0.4057
P 0.0282 0.2821 0.5943

Computed properties:
Formation energy in eV/atom: -0.505

Entry 6:
LuP: relaxed, PBE-GGA.

Cell lengths 3.9179, 3.9179, 3.9179 Å; angles 60.00, 60.00, 60.00 degrees
Sites, in units of the cell vectors:
Lu 0.0000 0.0000 0.0000
P 0.5000 0.5000 0.5000

Computed properties:
Formation energy in eV/atom: -1.586

Entry 7:
LuPaRe2: relaxed, PBE-GGA.

Cell lengths 4.8293, 4.8293, 4.8293 Å; angles 60.00, 60.00, 60.00 degrees
Sites, in units of the cell vectors:
Lu 0.5000 0.5000 0.5000
Pa 0.0000 0.0000 0.0000
Re 0.2500 0.2500 0.2500
Re 0.7500 0.7500 0.7500

Computed properties:
Formation energy in eV/atom: -0.009

Entry 8:
LuPaTc2: relaxed, PBE-GGA.

Cell lengths 4.8023, 4.8023, 4.8023 Å; angles 60.00, 60.00, 60.00 degrees
Sites, in units of the cell vectors:
Lu 0.5000 0.5000 0.5000
Pa 0.0000 0.0000 0.0000
Tc 0.2500 0.2500 0.2500
Tc 0.7500 0.7500 0.7500

Computed properties:
Formation energy in eV/atom: -0.249